EuBPt4 PBE relaxed; ΔH_f (0 K) = -0.683 eV per atom; SG = P6/mmm, No. 191
1.0
2.7905 -4.8332 0.0000
2.7905 4.8332 0.0000
0.0000 0.0000 7.6483
Eu B Pt
2 2 8
direct
0.0000 0.0000 0.5000
0.0000 0.0000 0.0000
0.6667 0.3333 0.5000
0.3333 0.6667 0.5000
0.5000 0.5000 0.6970
0.5000 0.0000 0.6970
0.0000 0.5000 0.6970
0.5000 0.5000 0.3030
0.5000 0.0000 0.3030
0.0000 0.5000 0.3030
0.6667 0.3333 0.0000
0.3333 0.6667 0.0000

EuB2Rh3 PBE relaxed; ΔH_f (0 K) = -0.598 eV per atom; SG = P6/mmm, No. 191
1.0
-4.6304 -2.3618 -2.2676
4.3693 -3.2594 1.5643
-1.1798 -0.2836 2.7045
Eu B Rh
1 2 3
direct
0.0000 0.0000 0.0000
0.3333 0.6667 0.0000
0.6667 0.3333 0.0000
0.5000 0.0000 0.5000
0.5000 0.5000 0.5000
0.0000 0.5000 0.5000

Eu3B6Rh8 PBE relaxed; ΔH_f (0 K) = -0.620 eV per atom; SG = Fmmm, No. 69
1.0
0.0000 4.9262 8.5946
2.7821 0.0000 8.5946
2.7821 4.9262 0.0000
Eu B Rh
3 6 8
direct
0.3169 0.3169 0.6831
0.5000 0.5000 0.5000
0.6831 0.6831 0.3169
0.8350 0.1650 0.8350
0.6681 0.9903 0.0097
0.9903 0.6681 0.3319
0.0097 0.3319 0.6681
0.3319 0.0097 0.9903
0.1650 0.8350 0.1650
0.9153 0.9153 0.5847
0.0847 0.0847 0.4153
0.7500 0.7500 0.7500
0.0873 0.0873 0.9127
0.9127 0.9127 0.0873
0.4153 0.4153 0.0847
0.5847 0.5847 0.9153
0.2500 0.2500 0.2500